Below is a relaxed structure of BaBiO3, with properties calculated at the PBE level.

Lattice parameters (Å, degrees): 6.220 6.220 6.220 60.60 60.60 60.60
Element x y z (fractional)
1 Ba 0.250 0.250 0.250
2 Ba 0.750 0.750 0.750
3 Bi 0.000 0.000 0.000
4 Bi 0.500 0.500 0.500
5 O 0.695 0.240 0.820
6 O 0.820 0.695 0.240
7 O 0.240 0.820 0.695
8 O 0.305 0.760 0.180
9 O 0.760 0.180 0.305
10 O 0.180 0.305 0.760

Computed properties:
The space group is No. 148. Its calculated formation energy is -2.232 eV/atom.

---

Below is a relaxed structure of YReB4, with properties calculated at the PBE level.

Lattice parameters (Å, degrees): 3.619 5.988 11.585 90.00 90.00 90.00
Element x y z (fractional)
1 Y 0.000 0.126 0.150
2 Y 0.000 0.874 0.850
3 Y 0.000 0.626 0.350
4 Y 0.000 0.374 0.650
5 Re 0.000 0.134 0.413
6 Re 0.000 0.866 0.587
7 Re 0.000 0.634 0.087
8 Re 0.000 0.366 0.913
9 B 0.500 0.477 0.192
10 B 0.500 0.523 0.808
11 B 0.500 0.977 0.308
12 B 0.500 0.023 0.692
13 B 0.500 0.287 0.315
14 B 0.500 0.713 0.685
15 B 0.500 0.787 0.185
16 B 0.500 0.213 0.815
17 B 0.500 0.363 0.469
18 B 0.500 0.637 0.531
19 B 0.500 0.863 0.031
20 B 0.500 0.137 0.969
21 B 0.500 0.386 0.047
22 B 0.500 0.614 0.953
23 B 0.500 0.886 0.453
24 B 0.500 0.114 0.547

Computed properties:
The space group is No. 55. Its calculated formation energy is -0.579 eV/atom.

---

Below is a relaxed structure of SmGeIr, with properties calculated at the PBE level.

Lattice parameters (Å, degrees): 4.387 7.027 7.681 90.00 90.00 90.00
Element x y z (fractional)
1 Sm 0.250 0.501 0.192
2 Sm 0.750 0.499 0.808
3 Sm 0.750 0.999 0.692
4 Sm 0.250 0.001 0.308
5 Ge 0.250 0.797 0.892
6 Ge 0.750 0.203 0.108
7 Ge 0.750 0.703 0.392
8 Ge 0.250 0.297 0.608
9 Ir 0.250 0.660 0.567
10 Ir 0.750 0.340 0.433
11 Ir 0.750 0.840 0.067
12 Ir 0.250 0.160 0.933

Computed properties:
The space group is No. 62. Its calculated formation energy is -0.869 eV/atom.

---

Below is a relaxed structure of Na2Ta8Si9S3O48, with properties calculated at the PBE level.

Lattice parameters (Å, degrees): 17.761 8.867 22.928 89.97 89.93 119.88
Element x y z (fractional)
1 Na 0.000 0.000 0.500
2 Na 0.503 0.002 0.997
3 Na 0.336 0.339 0.831
4 Na 0.831 0.325 0.833
5 Na 0.332 0.337 0.338
6 Na 0.836 0.331 0.336
7 Ta 0.006 0.017 0.359
8 Ta 0.495 0.996 0.359
9 Ta 0.995 0.995 0.857
10 Ta 0.506 0.997 0.858
11 Ta 0.994 0.984 0.641
12 Ta 0.505 0.005 0.642
13 Ta 0.003 0.002 0.143
14 Ta 0.501 0.004 0.145
15 Ta 0.336 0.340 0.682
16 Ta 0.838 0.347 0.693
17 Ta 0.338 0.341 0.195
18 Ta 0.837 0.333 0.183
19 Ta 0.338 0.346 0.973
20 Ta 0.834 0.326 0.981
21 Ta 0.335 0.344 0.482
22 Ta 0.841 0.342 0.475
23 Ta 0.161 0.662 0.018
24 Ta 0.659 0.662 0.027
25 Ta 0.159 0.656 0.528
26 Ta 0.666 0.658 0.521
27 Ta 0.160 0.650 0.305
28 Ta 0.664 0.659 0.316
29 Ta 0.164 0.669 0.814
30 Ta 0.661 0.671 0.804
31 Si 0.142 0.999 0.251
32 Si 0.358 0.721 0.251
33 Si 0.994 0.277 0.250
34 Si 0.504 0.289 0.251
35 Si 0.643 0.285 0.750
36 Si 0.004 0.720 0.750
37 Si 0.493 0.709 0.750
38 Si 0.858 0.000 0.750
39 Si 0.478 0.334 0.581
40 Si 0.972 0.325 0.585
41 Si 0.191 0.049 0.583
42 Si 0.334 0.628 0.583
43 Si 0.830 0.612 0.583
44 Si 0.472 0.619 0.084
45 Si 0.979 0.623 0.081
46 Si 0.834 0.041 0.083
47 Si 0.691 0.334 0.083
48 Si 0.309 0.674 0.916
49 Si 0.020 0.377 0.916
50 Si 0.528 0.383 0.916
51 Si 0.166 0.955 0.917
52 Si 0.671 0.952 0.917
53 Si 0.808 0.951 0.416
54 Si 0.171 0.390 0.417
55 Si 0.667 0.376 0.417
56 Si 0.028 0.673 0.416
57 Si 0.522 0.664 0.418
58 S 0.644 0.002 0.251
59 S 0.857 0.713 0.250
60 S 0.143 0.286 0.751
61 S 0.357 0.999 0.750
62 S 0.692 0.049 0.583
63 S 0.332 0.046 0.083
64 S 0.192 0.335 0.083
65 S 0.808 0.664 0.917
66 S 0.308 0.952 0.416
67 O 0.096 0.033 0.307
68 O 0.603 0.029 0.303
69 O 0.420 0.807 0.307
70 O 0.911 0.790 0.302
71 O 0.487 0.162 0.306
72 O 0.980 0.159 0.307
73 O 0.103 0.178 0.804
74 O 0.594 0.159 0.807
75 O 0.480 0.801 0.808
76 O 0.988 0.813 0.807
77 O 0.410 0.029 0.803
78 O 0.920 0.033 0.807
79 O 0.396 0.975 0.697
80 O 0.907 0.976 0.693
81 O 0.092 0.210 0.698
82 O 0.582 0.193 0.693
83 O 0.017 0.837 0.693
84 O 0.508 0.832 0.693
85 O 0.407 0.837 0.193
86 O 0.897 0.818 0.197
87 O 0.008 0.185 0.193
88 O 0.515 0.195 0.193
89 O 0.082 0.971 0.193
90 O 0.590 0.977 0.197
91 O 0.431 0.364 0.640
92 O 0.925 0.354 0.641
93 O 0.250 0.140 0.642
94 O 0.744 0.127 0.636
95 O 0.318 0.500 0.640
96 O 0.818 0.496 0.641
97 O 0.424 0.493 0.140
98 O 0.932 0.498 0.139
99 O 0.320 0.126 0.136
100 O 0.818 0.137 0.140
101 O 0.245 0.358 0.136
102 O 0.749 0.358 0.142
103 O 0.230 0.302 0.031
104 O 0.736 0.300 0.027
105 O 0.411 0.523 0.027
106 O 0.917 0.529 0.026
107 O 0.346 0.155 0.031
108 O 0.852 0.169 0.027
109 O 0.237 0.173 0.527
110 O 0.730 0.157 0.531
111 O 0.352 0.536 0.527
112 O 0.845 0.519 0.526
113 O 0.415 0.300 0.526
114 O 0.913 0.296 0.526
115 O 0.264 0.694 0.975
116 O 0.771 0.695 0.969
117 O 0.083 0.470 0.973
118 O 0.585 0.470 0.974
119 O 0.152 0.832 0.974
120 O 0.656 0.832 0.974
121 O 0.271 0.849 0.469
122 O 0.763 0.832 0.473
123 O 0.156 0.481 0.474
124 O 0.650 0.467 0.473
125 O 0.085 0.701 0.474
126 O 0.584 0.698 0.474
127 O 0.072 0.640 0.359
128 O 0.570 0.637 0.360
129 O 0.257 0.875 0.363
130 O 0.750 0.862 0.357
131 O 0.183 0.504 0.359
132 O 0.684 0.502 0.360
133 O 0.070 0.504 0.860
134 O 0.570 0.505 0.859
135 O 0.185 0.865 0.860
136 O 0.683 0.862 0.859
137 O 0.250 0.638 0.859
138 O 0.756 0.637 0.864
139 O 0.011 0.837 0.407
140 O 0.512 0.834 0.404
141 O 0.398 0.972 0.409
142 O 0.904 0.971 0.407
143 O 0.083 0.195 0.411
144 O 0.582 0.189 0.403
145 O 0.013 0.191 0.905
146 O 0.510 0.185 0.908
147 O 0.082 0.976 0.904
148 O 0.583 0.971 0.910
149 O 0.405 0.841 0.909
150 O 0.898 0.823 0.909
151 O 0.487 0.164 0.595
152 O 0.988 0.161 0.593
153 O 0.096 0.031 0.593
154 O 0.603 0.030 0.591
155 O 0.419 0.814 0.596
156 O 0.918 0.805 0.589
157 O 0.485 0.813 0.092
158 O 0.988 0.811 0.095
159 O 0.413 0.031 0.090
160 O 0.919 0.025 0.096
161 O 0.104 0.179 0.091
162 O 0.594 0.161 0.093
163 O 0.345 0.155 0.744
164 O 0.845 0.169 0.741
165 O 0.232 0.304 0.746
166 O 0.737 0.300 0.742
167 O 0.409 0.512 0.744
168 O 0.917 0.527 0.745
169 O 0.346 0.524 0.241
170 O 0.845 0.535 0.243
171 O 0.416 0.306 0.242
172 O 0.909 0.305 0.243
173 O 0.238 0.171 0.237
174 O 0.730 0.160 0.244
175 O 0.318 0.497 0.925
176 O 0.821 0.511 0.923
177 O 0.429 0.360 0.926
178 O 0.927 0.364 0.923
179 O 0.252 0.144 0.929
180 O 0.753 0.150 0.924
181 O 0.321 0.131 0.422
182 O 0.818 0.143 0.424
183 O 0.253 0.356 0.423
184 O 0.752 0.354 0.425
185 O 0.427 0.490 0.423
186 O 0.931 0.497 0.423
187 O 0.183 0.490 0.076
188 O 0.682 0.503 0.072
189 O 0.074 0.641 0.073
190 O 0.567 0.638 0.076
191 O 0.257 0.871 0.076
192 O 0.750 0.854 0.071
193 O 0.183 0.862 0.572
194 O 0.680 0.873 0.576
195 O 0.250 0.646 0.571
196 O 0.748 0.643 0.573
197 O 0.067 0.500 0.576
198 O 0.571 0.506 0.573
199 O 0.156 0.836 0.263
200 O 0.652 0.846 0.257
201 O 0.264 0.700 0.261
202 O 0.770 0.697 0.257
203 O 0.080 0.468 0.257
204 O 0.587 0.482 0.259
205 O 0.154 0.463 0.759
206 O 0.655 0.475 0.763
207 O 0.088 0.695 0.760
208 O 0.580 0.693 0.757
209 O 0.269 0.842 0.758
210 O 0.764 0.828 0.762

Computed properties:
The space group is No. 1. Its calculated formation energy is -3.011 eV/atom.

---

Below is a relaxed structure of NdSbPd, with properties calculated at the PBE level.

Lattice parameters (Å, degrees): 4.618 4.618 8.022 90.00 90.00 120.00
Element x y z (fractional)
1 Nd 0.000 0.000 0.500
2 Nd 0.000 0.000 0.000
3 Sb 0.333 0.667 0.750
4 Sb 0.667 0.333 0.250
5 Pd 0.333 0.667 0.250
6 Pd 0.667 0.333 0.750

Computed properties:
The space group is No. 194. Its calculated formation energy is -1.065 eV/atom.

---

Below is a relaxed structure of ZnGaCu3Se4, with properties calculated at the PBE level.

Lattice parameters (Å, degrees): 5.762 5.762 5.762 90.00 90.00 90.00
Element x y z (fractional)
1 Zn 0.500 0.500 0.500
2 Ga 0.000 0.000 0.000
3 Cu 0.000 0.500 0.000
4 Cu 0.000 0.000 0.500
5 Cu 0.500 0.000 0.000
6 Se 0.251 0.251 0.251
7 Se 0.749 0.749 0.251
8 Se 0.251 0.749 0.749
9 Se 0.749 0.251 0.749

Computed properties:
The space group is No. 215. Its calculated formation energy is -0.413 eV/atom.

---

Below is a relaxed structure of Li2CuSb, with properties calculated at the PBE level.

Lattice parameters (Å, degrees): 4.479 4.479 4.479 60.00 60.00 60.00
Element x y z (fractional)
1 Li 0.750 0.750 0.750
2 Li 0.500 0.500 0.500
3 Cu 0.000 0.000 0.000
4 Sb 0.250 0.250 0.250

Computed properties:
The value obtained for the maximum piezoelectric response is 0.6 C/m². The space group is No. 216. Its calculated formation energy is -0.468 eV/atom.

---

Below is a relaxed structure of Cu11Sb4S13, with properties calculated at the PBE level.

Lattice parameters (Å, degrees): 8.911 8.911 9.099 69.30 69.30 106.04
Element x y z (fractional)
1 Cu 0.778 0.997 0.232
2 Cu 0.795 0.795 0.985
3 Cu 0.289 0.289 0.389
4 Cu 0.997 0.778 0.232
5 Cu 0.250 0.744 0.493
6 Cu 0.744 0.250 0.493
7 Cu 0.228 0.228 0.977
8 Cu 0.491 0.745 0.756
9 Cu 0.745 0.491 0.756
10 Cu 0.221 0.996 0.774
11 Cu 0.996 0.221 0.774
12 Sb 0.533 0.996 0.008
13 Sb 0.468 0.468 0.545
14 Sb 0.975 0.975 0.469
15 Sb 0.996 0.533 0.008
16 S 0.234 0.749 0.248
17 S 0.749 0.234 0.248
18 S 0.542 0.542 0.233
19 S 0.002 0.002 0.002
20 S 0.518 0.778 0.485
21 S 0.778 0.518 0.485
22 S 0.992 0.233 0.525
23 S 0.233 0.992 0.525
24 S 0.253 0.476 0.998
25 S 0.476 0.253 0.998
26 S 0.004 0.486 0.749
27 S 0.486 0.004 0.749
28 S 0.737 0.737 0.784

Computed properties:
The space group is No. 8. Its calculated formation energy is -0.390 eV/atom.

---

Below is a relaxed structure of ReHC4O4, with properties calculated at the PBE level.

Lattice parameters (Å, degrees): 9.707 9.707 13.599 85.88 85.88 83.01
Element x y z (fractional)
1 Re 0.818 0.389 0.429
2 Re 0.611 0.182 0.071
3 Re 0.182 0.611 0.571
4 Re 0.389 0.818 0.929
5 Re 0.840 0.714 0.517
6 Re 0.286 0.160 0.983
7 Re 0.160 0.286 0.483
8 Re 0.714 0.840 0.017
9 H 0.779 0.551 0.492
10 H 0.449 0.221 0.008
11 H 0.221 0.449 0.508
12 H 0.551 0.779 0.992
13 H 0.993 0.396 0.472
14 H 0.604 0.007 0.028
15 H 0.007 0.604 0.528
16 H 0.396 0.993 0.972
17 C 0.628 0.438 0.395
18 C 0.562 0.372 0.105
19 C 0.372 0.562 0.605
20 C 0.438 0.628 0.895
21 C 0.815 0.206 0.383
22 C 0.794 0.185 0.117
23 C 0.185 0.794 0.617
24 C 0.206 0.815 0.883
25 C 0.757 0.319 0.567
26 C 0.681 0.243 0.933
27 C 0.243 0.681 0.433
28 C 0.319 0.757 0.067
29 C 0.885 0.462 0.296
30 C 0.538 0.115 0.204
31 C 0.115 0.538 0.704
32 C 0.462 0.885 0.796
33 C 0.868 0.895 0.560
34 C 0.105 0.132 0.940
35 C 0.132 0.105 0.440
36 C 0.895 0.868 0.060
37 C 0.649 0.782 0.491
38 C 0.218 0.351 0.009
39 C 0.351 0.218 0.509
40 C 0.782 0.649 0.991
41 C 0.906 0.770 0.379
42 C 0.230 0.094 0.121
43 C 0.094 0.230 0.621
44 C 0.770 0.906 0.879
45 C 0.783 0.651 0.656
46 C 0.349 0.217 0.844
47 C 0.217 0.349 0.344
48 C 0.651 0.783 0.156
49 O 0.513 0.468 0.375
50 O 0.532 0.487 0.125
51 O 0.487 0.532 0.625
52 O 0.468 0.513 0.875
53 O 0.802 0.096 0.356
54 O 0.904 0.198 0.144
55 O 0.198 0.904 0.644
56 O 0.096 0.802 0.856
57 O 0.719 0.279 0.645
58 O 0.721 0.281 0.855
59 O 0.281 0.721 0.355
60 O 0.279 0.719 0.145
61 O 0.921 0.504 0.218
62 O 0.496 0.079 0.282
63 O 0.079 0.496 0.782
64 O 0.504 0.921 0.718
65 O 0.878 0.005 0.585
66 O 0.995 0.122 0.915
67 O 0.122 0.995 0.415
68 O 0.005 0.878 0.085
69 O 0.534 0.821 0.476
70 O 0.179 0.466 0.024
71 O 0.466 0.179 0.524
72 O 0.821 0.534 0.976
73 O 0.941 0.804 0.299
74 O 0.196 0.059 0.201
75 O 0.059 0.196 0.701
76 O 0.804 0.941 0.799
77 O 0.750 0.617 0.736
78 O 0.383 0.250 0.764
79 O 0.250 0.383 0.264
80 O 0.617 0.750 0.236

Computed properties:
The space group is No. 15. Its calculated formation energy is -0.906 eV/atom.